# LiCr2P2O8 PBE+U relaxed
# Energy of formation from the pure elements in kJ/mol of atoms: -244.8
data_LiCr2P2O8
_cell_length_a 6.554
_cell_length_b 4.903
_cell_length_c 8.822
_cell_angle_alpha 90.00
_cell_angle_beta 90.00
_cell_angle_gamma 90.00
_symmetry_space_group_name_H-M 'P m c 21'
_symmetry_Int_Tables_number 26
loop_
_symmetry_equiv_pos_as_xyz
'x,y,z'
'-x,-y,z+1/2'
'-x,y,z'
'x,-y,z+1/2'
loop_
_atom_site_label
_atom_site_type_symbol
_atom_site_fract_x
_atom_site_fract_y
_atom_site_fract_z
Li1 Li 0.000 0.198 0.000
Cr1 Cr 0.259 0.255 0.339
P1 P 0.000 0.287 0.659
P2 P 0.500 0.224 0.017
O1 O 0.000 0.021 0.207
O2 O 0.000 0.317 0.477
O3 O 0.194 0.428 0.713
O4 O 0.303 0.081 0.961
O5 O 0.500 0.194 0.196
O6 O 0.500 0.475 0.460

=====

# V3P2O8 PBE+U relaxed
# Energy of formation from the pure elements in kJ/mol of atoms: -246.5
data_V3P2O8
_cell_length_a 4.900
_cell_length_b 6.146
_cell_length_c 10.621
_cell_angle_alpha 90.76
_cell_angle_beta 90.03
_cell_angle_gamma 90.03
_symmetry_space_group_name_H-M 'P 1'
_symmetry_Int_Tables_number 1
loop_
_symmetry_equiv_pos_as_xyz
'x,y,z'
loop_
_atom_site_label
_atom_site_type_symbol
_atom_site_fract_x
_atom_site_fract_y
_atom_site_fract_z
V1 V 0.000 0.000 0.000
V2 V 0.009 0.255 0.725
V3 V 0.489 0.254 0.225
V4 V 0.498 0.002 0.502
V5 V 0.509 0.745 0.776
V6 V 0.990 0.743 0.277
P1 P 0.074 0.752 0.598
P2 P 0.425 0.752 0.098
P3 P 0.574 0.247 0.904
P4 P 0.924 0.246 0.404
O1 O 0.183 0.757 0.461
O2 O 0.187 0.559 0.673
O3 O 0.225 0.957 0.663
O4 O 0.237 0.226 0.397
O5 O 0.261 0.227 0.897
O6 O 0.271 0.956 0.162
O7 O 0.313 0.558 0.173
O8 O 0.316 0.757 0.960
O9 O 0.683 0.242 0.041
O10 O 0.688 0.441 0.829
O11 O 0.726 0.042 0.839
O12 O 0.738 0.774 0.105
O13 O 0.761 0.772 0.605
O14 O 0.771 0.040 0.340
O15 O 0.811 0.439 0.328
O16 O 0.816 0.243 0.542